Record 1
This record from Materials Project describes an optimized crystal structure of LiTbPrNiO6. The functional is PBE+U.

CIF file:
```
data_LiTbPrNiO6
_chemical_formula_sum 'Li2 Tb2 Pr2 Ni2 O12'
_cell_length_a 5.101
_cell_length_b 5.101
_cell_length_c 8.927
_cell_angle_alpha 90.00
_cell_angle_beta 90.00
_cell_angle_gamma 88.64
_space_group_name_H-M_alt 'P 1'
_space_group_IT_number 1
loop_
_space_group_symop_operation_xyz
'x,y,z'
loop_
_atom_site_label
_atom_site_fract_x
_atom_site_fract_y
_atom_site_fract_z
O1 0.000 0.500 0.259
O2 0.000 0.500 0.741
O3 0.857 0.850 0.000
O4 0.395 0.610 0.500
O5 0.390 0.605 0.000
O6 0.605 0.390 0.500
O7 0.150 0.143 0.500
O8 0.143 0.150 0.000
O9 0.500 0.000 0.759
O10 0.610 0.395 0.000
O11 0.850 0.857 0.500
O12 0.500 0.000 0.241
Ni1 0.500 0.000 0.000
Ni2 0.000 0.500 0.500
Li1 0.500 0.000 0.500
Li2 0.000 0.500 0.000
Tb1 0.500 0.500 0.750
Tb2 0.500 0.500 0.250
Pr1 0.000 0.000 0.750
Pr2 0.000 0.000 0.250
```

Properties
ΔH_f (0 K) = -2227 meV/atom
size of the total moment = 6.0 μB per cell
space group = No. 66

---

Record 2
This record from Materials Project describes an optimized crystal structure of LiNiS2O8. The functional is PBE+U.

CIF file:
```
data_LiNiS2O8
_chemical_formula_sum 'Li3 Ni3 S6 O24'
_cell_length_a 8.363
_cell_length_b 8.368
_cell_length_c 8.998
_cell_angle_alpha 90.32
_cell_angle_beta 117.49
_cell_angle_gamma 119.76
_space_group_name_H-M_alt 'P 1'
_space_group_IT_number 1
loop_
_space_group_symop_operation_xyz
'x,y,z'
loop_
_atom_site_label
_atom_site_fract_x
_atom_site_fract_y
_atom_site_fract_z
O1 0.605 0.362 0.235
O2 0.187 0.712 0.083
O3 0.605 0.893 0.094
O4 0.811 0.298 0.915
O5 0.250 0.972 0.600
O6 0.034 0.003 0.697
O7 0.378 0.485 0.091
O8 0.671 0.631 0.404
O9 0.628 0.285 0.607
O10 0.317 0.343 0.606
O11 0.619 0.508 0.915
O12 0.988 0.364 0.751
O13 0.974 0.011 0.293
O14 0.993 0.629 0.236
O15 0.330 0.316 0.295
O16 0.287 0.961 0.299
O17 0.387 0.620 0.758
O18 0.658 0.657 0.695
O19 0.402 0.104 0.912
O20 0.774 0.043 0.407
O21 0.358 0.715 0.390
O22 0.872 0.242 0.233
O23 0.121 0.763 0.752
O24 0.695 0.034 0.695
Ni1 0.713 0.354 0.070
Ni2 0.302 0.149 0.456
Ni3 0.683 0.844 0.537
S1 0.803 0.048 0.254
S2 0.204 0.753 0.252
S3 0.502 0.539 0.748
S4 0.205 0.963 0.743
S5 0.493 0.448 0.252
S6 0.780 0.240 0.745
Li1 0.812 0.567 0.629
Li2 0.295 0.650 0.935
Li3 0.061 0.247 0.632
```

Properties
ΔH_f (0 K) = -1771 meV/atom
size of the total moment = 3.0 μB per cell
space group = No. 1
energy above the lowest structure with this stoichiometry = 0.2 meV/atom

---

Record 3
This record from Materials Project describes an optimized crystal structure of LiNiS2O8. The functional is PBE+U.

CIF file:
```
data_LiNiS2O8
_chemical_formula_sum 'Li8 Ni8 S16 O64'
_cell_length_a 9.080
_cell_length_b 9.221
_cell_length_c 13.748
_cell_angle_alpha 89.74
_cell_angle_beta 90.00
_cell_angle_gamma 90.00
_space_group_name_H-M_alt 'P 1'
_space_group_IT_number 1
loop_
_space_group_symop_operation_xyz
'x,y,z'
loop_
_atom_site_label
_atom_site_fract_x
_atom_site_fract_y
_atom_site_fract_z
O1 0.756 0.274 0.781
O2 0.221 0.201 0.488
O3 0.745 0.226 0.281
O4 0.518 0.575 0.221
O5 0.547 0.501 0.525
O6 0.721 0.800 0.010
O7 0.253 0.982 0.850
O8 0.518 0.079 0.278
O9 0.280 0.303 0.987
O10 0.216 0.979 0.328
O11 0.753 0.014 0.651
O12 0.047 0.501 0.975
O13 0.016 0.243 0.593
O14 0.518 0.257 0.592
O15 0.016 0.418 0.275
O16 0.222 0.699 0.010
O17 0.984 0.418 0.775
O18 0.482 0.257 0.092
O19 0.286 0.022 0.674
O20 0.247 0.014 0.151
O21 0.279 0.800 0.510
O22 0.020 0.745 0.905
O23 0.023 0.687 0.581
O24 0.244 0.773 0.221
O25 0.261 0.728 0.723
O26 0.215 0.480 0.173
O27 0.049 0.000 0.524
O28 0.491 0.765 0.406
O29 0.785 0.480 0.673
O30 0.714 0.022 0.174
O31 0.977 0.187 0.418
O32 0.476 0.815 0.082
O33 0.453 0.501 0.025
O34 0.953 0.501 0.475
O35 0.778 0.699 0.510
O36 0.977 0.687 0.081
O37 0.244 0.274 0.281
O38 0.242 0.513 0.351
O39 0.779 0.201 0.988
O40 0.526 0.315 0.919
O41 0.482 0.079 0.778
O42 0.551 0.003 0.978
O43 0.980 0.745 0.405
O44 0.749 0.485 0.150
O45 0.474 0.315 0.419
O46 0.784 0.979 0.828
O47 0.717 0.523 0.327
O48 0.482 0.575 0.721
O49 0.255 0.226 0.781
O50 0.283 0.523 0.827
O51 0.756 0.773 0.721
O52 0.747 0.982 0.350
O53 0.509 0.765 0.906
O54 0.018 0.921 0.224
O55 0.023 0.187 0.918
O56 0.984 0.243 0.093
O57 0.251 0.485 0.650
O58 0.720 0.303 0.487
O59 0.982 0.921 0.724
O60 0.739 0.728 0.223
O61 0.951 0.000 0.024
O62 0.449 0.003 0.478
O63 0.758 0.513 0.851
O64 0.524 0.815 0.582
S1 0.184 0.922 0.227
S2 0.682 0.574 0.225
S3 0.434 0.841 0.491
S4 0.563 0.343 0.508
S5 0.683 0.078 0.274
S6 0.318 0.574 0.725
S7 0.182 0.423 0.274
S8 0.317 0.078 0.774
S9 0.065 0.160 0.509
S10 0.936 0.661 0.490
S11 0.818 0.423 0.774
S12 0.935 0.160 0.009
S13 0.064 0.661 0.990
S14 0.816 0.922 0.727
S15 0.566 0.841 0.991
S16 0.437 0.343 0.008
Li1 0.703 0.768 0.373
Li2 0.036 0.453 0.624
Li3 0.964 0.453 0.124
Li4 0.297 0.768 0.873
Li5 0.535 0.047 0.626
Li6 0.465 0.047 0.126
Li7 0.025 0.960 0.874
Li8 0.975 0.960 0.374
Ni1 0.643 0.139 0.877
Ni2 0.357 0.639 0.125
Ni3 0.143 0.362 0.876
Ni4 0.857 0.362 0.376
Ni5 0.145 0.861 0.624
Ni6 0.357 0.139 0.377
Ni7 0.643 0.639 0.625
Ni8 0.855 0.861 0.124
```

Properties
ΔH_f (0 K) = -1749 meV/atom
size of the total moment = 10.0 μB per cell
space group = No. 7
energy above the lowest structure with this stoichiometry = 21.5 meV/atom